(1)
Entry from the Materials Project database: a geometry-optimized Tb3GaO6 structure (PBE).

```
Tb3GaO6
1.0
4.479 -5.615 0.000
4.479 5.615 0.000
0.000 0.000 5.474
Tb Ga O
6 2 12
direct
0.102 0.898 0.500
0.201 0.412 0.547
0.412 0.201 0.047
0.588 0.799 0.547
0.799 0.588 0.047
0.898 0.102 0.000
0.307 0.693 0.078
0.693 0.307 0.578
0.079 0.606 0.256
0.144 0.176 0.275
0.176 0.144 0.775
0.284 0.716 0.742
0.394 0.921 0.256
0.461 0.539 0.217
0.539 0.461 0.717
0.606 0.079 0.756
0.716 0.284 0.242
0.824 0.856 0.275
0.856 0.824 0.775
0.921 0.394 0.756
```

***

(2)
Entry from the Materials Project database: a geometry-optimized GaTeO3 structure (PBE).

```
GaTeO3
1.0
3.887 0.000 0.000
0.000 3.887 0.000
0.000 0.000 3.887
Ga Te O
1 1 3
direct
0.000 0.000 0.000
0.500 0.500 0.500
0.000 0.000 0.500
0.000 0.500 0.000
0.500 0.000 0.000
```

Values from the calculation:
M_tot in μB per cell: 0.00

***

(3)
Entry from the Materials Project database: a geometry-optimized Ga2Te4O11 structure (PBE).

```
Ga2Te4O11
1.0
5.245 0.000 0.000
2.297 6.253 0.000
0.136 2.203 8.098
Ga Te O
2 4 11
direct
0.000 0.000 0.000
0.290 0.400 0.616
0.035 0.025 0.415
0.242 0.433 0.000
0.578 0.870 0.803
0.712 0.608 0.345
0.018 0.292 0.941
0.038 0.314 0.305
0.274 0.115 0.662
0.305 0.553 0.774
0.371 0.826 0.990
0.416 0.868 0.415
0.561 0.396 0.468
0.689 0.098 0.849
0.912 0.965 0.222
0.942 0.692 0.010
0.948 0.607 0.516
```

***

(4)
Entry from the Materials Project database: a geometry-optimized Ga2Te3O9 structure (PBE).

```
Ga2Te3O9
1.0
9.242 0.000 0.000
-4.621 8.003 0.000
0.000 0.000 7.585
Ga Te O
4 6 18
direct
0.333 0.667 0.061
0.333 0.667 0.439
0.667 0.333 0.561
0.667 0.333 0.939
0.041 0.550 0.750
0.450 0.491 0.750
0.491 0.041 0.250
0.509 0.959 0.750
0.550 0.509 0.250
0.959 0.450 0.250
0.145 0.490 0.568
0.145 0.490 0.932
0.167 0.661 0.250
0.339 0.506 0.250
0.345 0.855 0.568
0.345 0.855 0.932
0.490 0.345 0.068
0.490 0.345 0.432
0.494 0.833 0.250
0.506 0.167 0.750
0.510 0.655 0.568
0.510 0.655 0.932
0.655 0.145 0.068
0.655 0.145 0.432
0.661 0.494 0.750
0.833 0.339 0.750
0.855 0.510 0.068
0.855 0.510 0.432
```

***

(5)
Entry from the Materials Project database: a geometry-optimized ZnGa2Te4O12 structure (PBE).

```
ZnGa2Te4O12
1.0
-5.362 5.362 5.439
5.362 -5.362 5.439
5.362 5.362 -5.439
Zn Ga Te O
2 4 8 24
direct
0.000 0.000 0.000
0.750 0.250 0.500
0.252 0.625 0.127
0.375 0.502 0.627
0.498 0.125 0.873
0.875 0.748 0.373
0.116 0.149 0.744
0.122 0.655 0.756
0.345 0.101 0.467
0.405 0.372 0.256
0.628 0.884 0.033
0.634 0.878 0.533
0.851 0.595 0.967
0.899 0.366 0.244
0.004 0.783 0.963
0.040 0.582 0.121
0.081 0.960 0.542
0.169 0.507 0.595
0.217 0.181 0.221
0.257 0.419 0.095
0.289 0.668 0.958
0.324 0.162 0.905
0.332 0.290 0.621
0.418 0.539 0.458
0.426 0.831 0.339
0.461 0.919 0.879
0.493 0.088 0.661
0.533 0.254 0.463
0.581 0.676 0.839
0.669 0.711 0.379
0.710 0.331 0.042
0.746 0.210 0.279
0.790 0.069 0.537
0.819 0.040 0.037
0.838 0.743 0.161
0.912 0.574 0.405
0.931 0.467 0.721
0.960 0.996 0.779
```

***

(6)
Entry from the Materials Project database: a geometry-optimized TiGa4O8 structure (PBE).

```
TiGa4O8
1.0
6.220 -1.528 0.000
6.220 1.528 0.000
-5.431 0.000 7.925
Ti Ga O
1 4 8
direct
0.000 0.000 0.000
0.241 0.241 0.637
0.464 0.464 0.288
0.536 0.536 0.712
0.759 0.759 0.363
0.108 0.108 0.690
0.167 0.167 0.218
0.354 0.354 0.541
0.445 0.445 0.081
0.555 0.555 0.919
0.646 0.646 0.459
0.833 0.833 0.782
0.892 0.892 0.310
```

***

(7)
Entry from the Materials Project database: a geometry-optimized TiGa2O5 structure (PBE).

```
TiGa2O5
1.0
5.280 0.000 0.000
0.000 10.036 0.000
-2.595 0.000 6.948
Ti Ga O
4 8 20
direct
0.144 0.000 0.408
0.235 0.311 0.933
0.765 0.811 0.067
0.856 0.500 0.592
0.125 0.001 0.903
0.217 0.313 0.429
0.226 0.686 0.432
0.229 0.685 0.932
0.771 0.185 0.068
0.774 0.186 0.568
0.783 0.813 0.571
0.875 0.501 0.097
0.014 0.499 0.872
0.016 0.500 0.388
0.115 0.683 0.656
0.116 0.332 0.151
0.117 0.321 0.658
0.119 0.672 0.153
0.396 0.137 0.977
0.403 0.133 0.471
0.407 0.868 0.472
0.413 0.868 0.977
0.587 0.368 0.023
0.593 0.368 0.528
0.597 0.633 0.529
0.604 0.637 0.023
0.881 0.172 0.847
0.883 0.821 0.342
0.884 0.832 0.849
0.885 0.183 0.344
0.984 0.000 0.612
0.986 0.999 0.128
```

Values from the calculation:
M_tot in μB per cell: 0.00

***

(8)
Entry from the Materials Project database: a geometry-optimized TiGa2O5 structure (PBE).

```
TiGa2O5
1.0
5.048 -2.522 0.000
5.048 2.522 0.000
-2.485 0.000 6.612
Ti Ga O
2 4 10
direct
0.000 0.000 0.000
0.000 0.000 0.500
0.361 0.367 0.774
0.367 0.361 0.274
0.633 0.639 0.726
0.639 0.633 0.226
0.032 0.338 0.150
0.196 0.804 0.250
0.250 0.581 0.551
0.338 0.032 0.650
0.419 0.750 0.949
0.581 0.250 0.051
0.662 0.968 0.350
0.750 0.419 0.449
0.804 0.196 0.750
0.968 0.662 0.850
```

Values from the calculation:
M_tot in μB per cell: 0.00

***

(9)
Entry from the Materials Project database: a geometry-optimized TiGa2O5 structure (PBE).

```
TiGa2O5
1.0
1.831 -4.967 0.000
1.831 4.967 0.000
0.000 0.000 10.089
Ti Ga O
2 4 10
direct
0.179 0.821 0.750
0.821 0.179 0.250
0.137 0.863 0.059
0.137 0.863 0.441
0.863 0.137 0.559
0.863 0.137 0.941
0.047 0.953 0.619
0.047 0.953 0.881
0.249 0.751 0.250
0.308 0.692 0.575
0.308 0.692 0.925
0.692 0.308 0.075
0.692 0.308 0.425
0.751 0.249 0.750
0.953 0.047 0.119
0.953 0.047 0.381
```

Values from the calculation:
M_tot in μB per cell: 0.00

***

(10)
Entry from the Materials Project database: a geometry-optimized TlGaO3 structure (PBE).

```
TlGaO3
1.0
5.498 0.000 0.000
0.000 7.874 0.000
0.000 0.000 5.352
Tl Ga O
4 4 12
direct
0.050 0.250 0.018
0.450 0.750 0.518
0.550 0.250 0.482
0.950 0.750 0.982
0.000 0.000 0.500
0.000 0.500 0.500
0.500 0.000 0.000
0.500 0.500 0.000
0.046 0.750 0.388
0.203 0.560 0.799
0.203 0.940 0.799
0.297 0.060 0.299
0.297 0.440 0.299
0.454 0.250 0.888
0.546 0.750 0.112
0.703 0.560 0.701
0.703 0.940 0.701
0.797 0.060 0.201
0.797 0.440 0.201
0.954 0.250 0.612
```

Values from the calculation:
M_tot in μB per cell: 0.00

***

(11)
Entry from the Materials Project database: a geometry-optimized TlGaO2 structure (PBE).

```
TlGaO2
1.0
0.000 4.200 4.200
4.200 0.000 4.200
4.200 4.200 0.000
Tl Ga O
2 2 4
direct
0.125 0.125 0.125
0.875 0.875 0.875
0.375 0.375 0.375
0.625 0.625 0.625
0.000 0.500 0.500
0.500 0.000 0.500
0.500 0.500 0.000
0.500 0.500 0.500
```

Values from the calculation:
M_tot in μB per cell: 0.00

***

(12)
Entry from the Materials Project database: a geometry-optimized TlGaO3 structure (PBE).

```
TlGaO3
1.0
3.909 0.000 0.000
0.000 3.909 0.000
0.000 0.000 3.909
Tl Ga O
1 1 3
direct
0.000 0.000 0.000
0.500 0.500 0.500
0.000 0.500 0.500
0.500 0.000 0.500
0.500 0.500 0.000
```

Values from the calculation:
M_tot in μB per cell: 0.15

***

Summary of energy with MP2020 corrections in eV/atom
-8.242; -5.397; -6.012; -6.051; -5.928; -7.135; -7.530; -7.491; -7.529; -5.664; -5.428; -5.303
(order as listed above)
Summary of energy of formation from the pure elements in eV per formula unit
-35.80; -5.97; -29.15; -24.70; -33.36; -33.16; -21.55; -21.23; -21.54; -8.08; -6.43; -6.28
(order as listed above)
Summary of total DFT energy (no corrections) in eV per atom
-7.830; -4.985; -5.568; -5.609; -5.494; -6.712; -7.101; -7.061; -7.099; -5.252; -5.085; -4.891
(order as listed above)